Crystalline C at its relaxed geometry, computed with GGA-PBE.

## Properties
SG: P6/mmm, No. 191

Unit cell a=2.4680 b=2.4680 c=19.9983 alpha=90.00 beta=90.00 gamma=120.00
With the nearest neighbours (Å) after each atom.
Sites, in units of the cell vectors:
1 C 0.3333 0.6667 0.0000  3 C 1.42
2 C 0.6667 0.3333 0.0000  3 C 1.42



Crystalline C at its relaxed geometry, computed with GGA-PBE.

## Properties
SG: Cmmm, No. 65
Total magnetic moment, μB/cell: 0.0

Unit cell a=3.6839 b=3.6839 c=6.2654 alpha=90.00 beta=90.00 gamma=96.31
With the nearest neighbours (Å) after each atom.
Sites, in units of the cell vectors:
1 C 0.1256 0.8744 0.8049  3 C 1.38-1.51
2 C 0.1256 0.8744 0.1951  3 C 1.38-1.51
3 C 0.0000 0.5000 0.1090  3 C 1.37-1.51
4 C 0.0000 0.5000 0.8910  3 C 1.37-1.51
5 C 0.5000 0.0000 0.1090  3 C 1.37-1.51
6 C 0.5000 0.0000 0.8910  3 C 1.37-1.51
7 C 0.8744 0.1256 0.1951  3 C 1.38-1.51
8 C 0.8744 0.1256 0.8049  3 C 1.38-1.51



Crystalline C at its relaxed geometry, computed with GGA-PBE.

## Properties
SG: P-3m1, No. 164

Unit cell a=2.4678 b=2.4678 c=25.8292 alpha=90.00 beta=90.00 gamma=120.00
With the nearest neighbours (Å) after each atom.
Sites, in units of the cell vectors:
1 C 0.0000 0.0000 0.5712  3 C 1.42
2 C 0.0000 0.0000 0.4288  3 C 1.42
3 C 0.3333 0.6667 0.4288  3 C 1.42
4 C 0.6667 0.3333 0.5712  3 C 1.42



no.,formation energy from the elements (meV per atom)
1,9
2,945
3,10